Density functional theory data (GGA-PBE) for Na6Ta3GaSi6O24 after structural relaxation.

**Final energy**: -7.519 eV per atom
**Corrected total energy (MP2020 scheme)**: -951.769 eV/cell
**ΔH_f (0 K)**: -2.99 eV per atom
**Relative energy among the computed polymorphs**: 0 meV/atom

Lattice parameters (Å, degrees): 9.003 9.004 22.437 90.03 90.01 119.97
Space group P1 (No. 1)
One atom of each set of equivalent atoms:
Na: 0.000 0.000 0.000 (multiplicity 1)
Na: 0.000 0.000 0.495 (multiplicity 1)
Na: 0.000 0.637 0.753 (multiplicity 1)
Na: 0.043 0.344 0.581 (multiplicity 1)
Na: 0.300 0.958 0.581 (multiplicity 1)
Na: 0.321 0.293 0.414 (multiplicity 1)
Na: 0.323 0.031 0.914 (multiplicity 1)
Na: 0.326 0.661 0.165 (multiplicity 1)
Na: 0.339 0.668 0.666 (multiplicity 1)
Na: 0.363 0.003 0.251 (multiplicity 1)
Na: 0.639 0.640 0.251 (multiplicity 1)
Na: 0.657 0.700 0.581 (multiplicity 1)
Na: 0.660 0.327 0.833 (multiplicity 1)
Na: 0.674 0.334 0.331 (multiplicity 1)
Na: 0.707 0.029 0.413 (multiplicity 1)
Na: 0.709 0.677 0.915 (multiplicity 1)
Na: 0.969 0.292 0.914 (multiplicity 1)
Na: 0.971 0.679 0.414 (multiplicity 1)
Ta: 0.000 0.001 0.649 (multiplicity 1)
Ta: 0.001 0.001 0.145 (multiplicity 1)
Ta: 0.329 0.663 0.313 (multiplicity 1)
Ta: 0.334 0.668 0.023 (multiplicity 1)
Ta: 0.338 0.667 0.812 (multiplicity 1)
Ta: 0.663 0.330 0.690 (multiplicity 1)
Ta: 0.666 0.334 0.479 (multiplicity 1)
Ta: 0.667 0.334 0.982 (multiplicity 1)
Ta: 0.671 0.334 0.187 (multiplicity 1)
Ga: 0.000 0.001 0.351 (multiplicity 1)
Ga: 0.000 0.001 0.852 (multiplicity 1)
Ga: 0.333 0.667 0.518 (multiplicity 1)
Si: 0.000 0.287 0.754 (multiplicity 1)
Si: 0.044 0.670 0.917 (multiplicity 1)
Si: 0.046 0.376 0.419 (multiplicity 1)
Si: 0.284 0.287 0.252 (multiplicity 1)
Si: 0.289 0.003 0.754 (multiplicity 1)
Si: 0.329 0.954 0.419 (multiplicity 1)
Si: 0.330 0.374 0.917 (multiplicity 1)
Si: 0.375 0.043 0.084 (multiplicity 1)
Si: 0.376 0.337 0.584 (multiplicity 1)
Si: 0.625 0.672 0.419 (multiplicity 1)
Si: 0.626 0.957 0.917 (multiplicity 1)
Si: 0.664 0.040 0.583 (multiplicity 1)
Si: 0.667 0.625 0.084 (multiplicity 1)
Si: 0.711 0.714 0.753 (multiplicity 1)
Si: 0.717 0.004 0.253 (multiplicity 1)
Si: 0.959 0.334 0.084 (multiplicity 1)
Si: 0.960 0.624 0.584 (multiplicity 1)
Si: 0.999 0.713 0.252 (multiplicity 1)
O: 0.021 0.186 0.412 (multiplicity 1)
O: 0.023 0.838 0.913 (multiplicity 1)
O: 0.028 0.198 0.693 (multiplicity 1)
O: 0.035 0.838 0.195 (multiplicity 1)
O: 0.130 0.630 0.858 (multiplicity 1)
O: 0.137 0.507 0.362 (multiplicity 1)
O: 0.146 0.505 0.077 (multiplicity 1)
O: 0.148 0.643 0.579 (multiplicity 1)
O: 0.162 0.187 0.913 (multiplicity 1)
O: 0.162 0.459 0.479 (multiplicity 1)
O: 0.164 0.195 0.194 (multiplicity 1)
O: 0.164 0.979 0.412 (multiplicity 1)
O: 0.167 0.483 0.757 (multiplicity 1)
O: 0.167 0.969 0.693 (multiplicity 1)
O: 0.171 0.698 0.973 (multiplicity 1)
O: 0.175 0.699 0.258 (multiplicity 1)
O: 0.188 0.026 0.090 (multiplicity 1)
O: 0.188 0.160 0.590 (multiplicity 1)
O: 0.207 0.033 0.812 (multiplicity 1)
O: 0.211 0.169 0.311 (multiplicity 1)
O: 0.296 0.837 0.478 (multiplicity 1)
O: 0.300 0.826 0.757 (multiplicity 1)
O: 0.302 0.472 0.974 (multiplicity 1)
O: 0.315 0.484 0.257 (multiplicity 1)
O: 0.358 0.505 0.579 (multiplicity 1)
O: 0.359 0.855 0.077 (multiplicity 1)
O: 0.369 0.868 0.360 (multiplicity 1)
O: 0.370 0.506 0.860 (multiplicity 1)
O: 0.465 0.298 0.525 (multiplicity 1)
O: 0.469 0.164 0.025 (multiplicity 1)
O: 0.480 0.170 0.743 (multiplicity 1)
O: 0.480 0.312 0.244 (multiplicity 1)
O: 0.494 0.865 0.860 (multiplicity 1)
O: 0.495 0.853 0.579 (multiplicity 1)
O: 0.496 0.136 0.143 (multiplicity 1)
O: 0.496 0.641 0.077 (multiplicity 1)
O: 0.498 0.632 0.360 (multiplicity 1)
O: 0.504 0.365 0.640 (multiplicity 1)
O: 0.507 0.146 0.424 (multiplicity 1)
O: 0.507 0.361 0.923 (multiplicity 1)
O: 0.520 0.693 0.756 (multiplicity 1)
O: 0.521 0.830 0.258 (multiplicity 1)
O: 0.529 0.831 0.974 (multiplicity 1)
O: 0.540 0.704 0.478 (multiplicity 1)
O: 0.637 0.141 0.639 (multiplicity 1)
O: 0.638 0.493 0.424 (multiplicity 1)
O: 0.639 0.146 0.923 (multiplicity 1)
O: 0.639 0.504 0.143 (multiplicity 1)
O: 0.681 0.166 0.244 (multiplicity 1)
O: 0.694 0.531 0.025 (multiplicity 1)
O: 0.696 0.525 0.742 (multiplicity 1)
O: 0.702 0.168 0.525 (multiplicity 1)
O: 0.802 0.831 0.692 (multiplicity 1)
O: 0.804 0.965 0.195 (multiplicity 1)
O: 0.813 0.975 0.912 (multiplicity 1)
O: 0.816 0.836 0.412 (multiplicity 1)
O: 0.824 0.034 0.313 (multiplicity 1)
O: 0.827 0.523 0.243 (multiplicity 1)
O: 0.831 0.534 0.526 (multiplicity 1)
O: 0.833 0.791 0.810 (multiplicity 1)
O: 0.835 0.318 0.743 (multiplicity 1)
O: 0.838 0.306 0.025 (multiplicity 1)
O: 0.838 0.812 0.091 (multiplicity 1)
O: 0.840 0.028 0.590 (multiplicity 1)
O: 0.854 0.494 0.923 (multiplicity 1)
O: 0.855 0.362 0.424 (multiplicity 1)
O: 0.860 0.361 0.140 (multiplicity 1)
O: 0.865 0.502 0.642 (multiplicity 1)
O: 0.959 0.789 0.312 (multiplicity 1)
O: 0.965 0.173 0.812 (multiplicity 1)
O: 0.973 0.162 0.091 (multiplicity 1)
O: 0.973 0.813 0.590 (multiplicity 1)